# 1
{"formula": "MnP2H6O5", "functional": "PBE with a Hubbard U", "state": "relaxed", "magmom_total_mub_per_fu": 5.0, "formation_energy_ev_per_fu": -19.506, "dft_energy_ev_per_cell": -317.952, "lattice": [[7.5210, 0.0000, 0.0000], [0.0000, 7.9861, 0.0000], [0.0000, 2.4415, 10.6633]], "species": ["H", "H", "H", "H", "H", "H", "H", "H", "H", "H", "H", "H", "H", "H", "H", "H", "H", "H", "H", "H", "H", "H", "H", "H", "O", "O", "O", "O", "O", "O", "O", "O", "O", "O", "O", "O", "O", "O", "O", "O", "O", "O", "O", "O", "Mn", "Mn", "Mn", "Mn", "P", "P", "P", "P", "P", "P", "P", "P"], "fractional_positions": [[0.0716, 0.1120, 0.3512], [0.0735, 0.8280, 0.4144], [0.3446, 0.4023, 0.5457], [0.6554, 0.5977, 0.4543], [0.6102, 0.3829, 0.7111], [0.8220, 0.7989, 0.9058], [0.0479, 0.4096, 0.3776], [0.9284, 0.8880, 0.6488], [0.5716, 0.8880, 0.1488], [0.8446, 0.5977, 0.9543], [0.6780, 0.7989, 0.4058], [0.1102, 0.6171, 0.7889], [0.5735, 0.1720, 0.0856], [0.4265, 0.8280, 0.9144], [0.1554, 0.4023, 0.0457], [0.1780, 0.2011, 0.0942], [0.8898, 0.3829, 0.2111], [0.3220, 0.2011, 0.5942], [0.3898, 0.6171, 0.2889], [0.9265, 0.1720, 0.5856], [0.4284, 0.1120, 0.8512], [0.5479, 0.5904, 0.1224], [0.9521, 0.5904, 0.6224], [0.4521, 0.4096, 0.8776], [0.4003, 0.3372, 0.2386], [0.5997, 0.6628, 0.7614], [0.6545, 0.0232, 0.5725], [0.7053, 0.0482, 0.2865], [0.3455, 0.9768, 0.4275], [0.7297, 0.4058, 0.3967], [0.6353, 0.7091, 0.4762], [0.1353, 0.2909, 0.0238], [0.7947, 0.0482, 0.7865], [0.2947, 0.9518, 0.7135], [0.2297, 0.5942, 0.1033], [0.1545, 0.9768, 0.9275], [0.9003, 0.6628, 0.2614], [0.3647, 0.2909, 0.5238], [0.2703, 0.5942, 0.6033], [0.2053, 0.9518, 0.2135], [0.8647, 0.7091, 0.9762], [0.0997, 0.3372, 0.7386], [0.7703, 0.4058, 0.8967], [0.8455, 0.0232, 0.0725], [0.9531, 0.1921, 0.8974], [0.4531, 0.8079, 0.6026], [0.0469, 0.8079, 0.1026], [0.5469, 0.1921, 0.3974], [0.6106, 0.4690, 0.8116], [0.3219, 0.9664, 0.8494], [0.8219, 0.0336, 0.6506], [0.3894, 0.5310, 0.1884], [0.6781, 0.0336, 0.1506], [0.1781, 0.9664, 0.3494], [0.8894, 0.4690, 0.3116], [0.1106, 0.5310, 0.6884]]}

---

# 2
{"formula": "BaPr2NiO5", "functional": "PBE with a Hubbard U", "state": "relaxed", "magmom_total_mub_per_fu": 2.0, "formation_energy_ev_per_fu": -26.827, "dft_energy_ev_per_cell": -62.852, "lattice": [[3.7235, -0.0002, -1.0871], [-0.7673, 5.3690, -2.6263], [0.0067, 0.0150, 6.9412]], "species": ["O", "O", "O", "O", "O", "Ba", "Ni", "Pr", "Pr"], "fractional_positions": [[0.0000, 0.5000, 0.0000], [0.6440, 0.8858, 0.2880], [0.3560, 0.1142, 0.7120], [0.6440, 0.4022, 0.2880], [0.3560, 0.5978, 0.7120], [0.0000, 0.0000, 0.0000], [0.5000, 0.5000, 0.0000], [0.7973, 0.2974, 0.5948], [0.2027, 0.7026, 0.4052]]}

---

# 3
{"formula": "ZnCo2Cu2O8", "functional": "PBE with a Hubbard U", "state": "relaxed", "magmom_total_mub_per_fu": 6.2, "formation_energy_ev_per_fu": -12.371, "dft_energy_ev_per_cell": -267.431, "lattice": [[6.4193, 0.0000, -0.1196], [0.0000, 8.2868, 0.0000], [-0.1269, 0.0000, 11.8290]], "species": ["O", "O", "O", "O", "O", "O", "O", "O", "O", "O", "O", "O", "O", "O", "O", "O", "O", "O", "O", "O", "O", "O", "O", "O", "O", "O", "O", "O", "O", "O", "O", "O", "Co", "Co", "Co", "Co", "Co", "Co", "Co", "Co", "Zn", "Zn", "Zn", "Zn", "Cu", "Cu", "Cu", "Cu", "Cu", "Cu", "Cu", "Cu"], "fractional_positions": [[0.3260, 0.8703, 0.7159], [0.4068, 0.2297, 0.0812], [0.6740, 0.3703, 0.7841], [0.1906, 0.5787, 0.4792], [0.4068, 0.2703, 0.5812], [0.4886, 0.3939, 0.3590], [0.1245, 0.4736, 0.6979], [0.5114, 0.8939, 0.1410], [0.3458, 0.5145, 0.9012], [0.1906, 0.9213, 0.9792], [0.9762, 0.7740, 0.6006], [0.9762, 0.7260, 0.1006], [0.0238, 0.2740, 0.8994], [0.8094, 0.0787, 0.0208], [0.6542, 0.4855, 0.0988], [0.8094, 0.4213, 0.5208], [0.0951, 0.3919, 0.1264], [0.3458, 0.9855, 0.4012], [0.0238, 0.2260, 0.3994], [0.4886, 0.1061, 0.8590], [0.8755, 0.5264, 0.3021], [0.5932, 0.7703, 0.9188], [0.9049, 0.8919, 0.3736], [0.6740, 0.1297, 0.2841], [0.5932, 0.7297, 0.4188], [0.9049, 0.6081, 0.8736], [0.1245, 0.0264, 0.1979], [0.6542, 0.0145, 0.5988], [0.8755, 0.9736, 0.8021], [0.3260, 0.6297, 0.2159], [0.0951, 0.1081, 0.6264], [0.5114, 0.6061, 0.6410], [0.6072, 0.4082, 0.6321], [0.3928, 0.9082, 0.8679], [0.1030, 0.4632, 0.8413], [0.8970, 0.9632, 0.6587], [0.1030, 0.0368, 0.3413], [0.3928, 0.5918, 0.3679], [0.8970, 0.5368, 0.1587], [0.6072, 0.0918, 0.1321], [0.1109, 0.3416, 0.5491], [0.1109, 0.1584, 0.0491], [0.8891, 0.6584, 0.4509], [0.8891, 0.8416, 0.9509], [0.2494, 0.6931, 0.6208], [0.7506, 0.3069, 0.3792], [0.2494, 0.8069, 0.1208], [0.3796, 0.4405, 0.1325], [0.6204, 0.5595, 0.8675], [0.6204, 0.9405, 0.3675], [0.7506, 0.1931, 0.8792], [0.3796, 0.0595, 0.6325]]}